*one*
{"formula": "Li6V5SbO12", "functional": "PBE+U", "state": "relaxed", "spacegroup": "C2, No. 5", "lattice_angstrom": [[0.459, 4.475, 3.059], [0.696, -5.154, 7.434], [9.894, 1.590, -5.363]], "species": ["Li", "Li", "Li", "Li", "Li", "Li", "Li", "Li", "Li", "Li", "Li", "Li", "V", "V", "V", "V", "V", "V", "V", "V", "V", "V", "Sb", "Sb", "O", "O", "O", "O", "O", "O", "O", "O", "O", "O", "O", "O", "O", "O", "O", "O", "O", "O", "O", "O", "O", "O", "O", "O"], "fractional_positions": [[0.116, 0.357, 0.712], [0.615, 0.858, 0.713], [0.385, 0.145, 0.288], [0.885, 0.645, 0.287], [0.889, 0.311, 0.286], [0.389, 0.810, 0.286], [0.611, 0.525, 0.714], [0.111, 0.024, 0.714], [0.886, 0.974, 0.285], [0.386, 0.474, 0.284], [0.614, 0.189, 0.715], [0.114, 0.690, 0.716], [0.750, 0.248, 0.500], [0.500, 0.159, 0.000], [0.000, 0.659, 0.000], [0.500, 0.841, 0.000], [0.000, 0.340, 0.000], [0.250, 0.747, 0.500], [0.750, 0.589, 0.500], [0.250, 0.089, 0.500], [0.750, 0.914, 0.500], [0.250, 0.414, 0.500], [0.500, 0.500, 0.000], [0.000, 0.000, 0.000], [0.064, 0.187, 0.386], [0.563, 0.686, 0.386], [0.436, 0.301, 0.614], [0.937, 0.800, 0.614], [0.168, 0.448, 0.893], [0.668, 0.948, 0.894], [0.332, 0.055, 0.107], [0.831, 0.554, 0.106], [0.856, 0.213, 0.102], [0.356, 0.713, 0.102], [0.644, 0.611, 0.898], [0.144, 0.110, 0.898], [0.857, 0.888, 0.102], [0.357, 0.388, 0.101], [0.642, 0.286, 0.898], [0.143, 0.786, 0.899], [0.921, 0.471, 0.609], [0.422, 0.970, 0.608], [0.579, 0.362, 0.391], [0.078, 0.863, 0.392], [0.932, 0.146, 0.612], [0.434, 0.646, 0.612], [0.568, 0.034, 0.388], [0.067, 0.534, 0.388]]}

=====

*two*
{"formula": "Li6V5SbO12", "functional": "PBE+U", "state": "relaxed", "lattice_angstrom": [[-2.729, -4.632, -0.445], [-0.428, -0.726, -10.526], [7.819, -4.606, 0.000]], "species": ["Li", "Li", "Li", "Li", "Li", "Li", "Li", "Li", "Li", "Li", "Li", "Li", "V", "V", "V", "V", "V", "V", "V", "V", "V", "V", "Sb", "Sb", "O", "O", "O", "O", "O", "O", "O", "O", "O", "O", "O", "O", "O", "O", "O", "O", "O", "O", "O", "O", "O", "O", "O", "O"], "fractional_positions": [[0.263, 0.711, 0.500], [0.763, 0.711, 0.000], [0.737, 0.289, 0.500], [0.237, 0.289, 0.000], [0.236, 0.284, 0.334], [0.736, 0.284, 0.834], [0.764, 0.716, 0.334], [0.264, 0.716, 0.834], [0.236, 0.284, 0.666], [0.736, 0.284, 0.166], [0.764, 0.716, 0.666], [0.264, 0.716, 0.166], [0.500, 0.500, 0.000], [0.500, 0.500, 0.671], [0.500, 0.500, 0.329], [0.000, 0.000, 0.340], [0.000, 0.000, 0.660], [0.000, 0.500, 0.500], [0.000, 0.500, 0.171], [0.000, 0.500, 0.829], [0.500, 0.000, 0.840], [0.500, 0.000, 0.160], [0.000, 0.000, 0.000], [0.500, 0.000, 0.500], [0.382, 0.391, 0.500], [0.882, 0.391, 0.000], [0.618, 0.609, 0.500], [0.118, 0.609, 0.000], [0.217, 0.894, 0.500], [0.717, 0.894, 0.000], [0.783, 0.106, 0.500], [0.283, 0.106, 0.000], [0.309, 0.102, 0.338], [0.809, 0.102, 0.838], [0.691, 0.897, 0.338], [0.191, 0.898, 0.838], [0.309, 0.102, 0.662], [0.809, 0.102, 0.162], [0.691, 0.898, 0.662], [0.191, 0.897, 0.162], [0.129, 0.614, 0.326], [0.629, 0.614, 0.826], [0.872, 0.386, 0.327], [0.372, 0.386, 0.826], [0.129, 0.614, 0.673], [0.629, 0.614, 0.174], [0.872, 0.386, 0.673], [0.372, 0.386, 0.173]]}

=====

Which one is the least stable? From the structures above, *one*.